Entry 1:
The following is a GGA+U calculation of an optimized crystal structure of Li2VO2F, from Materials Project. Values from VASP.

Cell and atoms, written as Quantum ESPRESSO input:
```
&SYSTEM
  ibrav = 0, nat = 24, ntyp = 4
/
ATOMIC_SPECIES
Li 6.94 Li.upf
V 50.94 V.upf
O 16.00 O.upf
F 19.00 F.upf
CELL_PARAMETERS angstrom
-4.1781 2.1060 -2.1060
0.0001 4.1997 4.1996
2.0817 4.2077 -6.3074
ATOMIC_POSITIONS crystal
Li 0.3366 0.6650 0.6601
Li 0.8366 0.4150 0.6601
Li 0.3366 0.1650 0.6601
Li 0.8366 0.9150 0.6601
Li 0.1634 0.5850 0.3399
Li 0.6634 0.3350 0.3399
Li 0.1634 0.0850 0.3399
Li 0.6634 0.8350 0.3399
V 0.5001 0.7505 0.0000
V 0.0001 0.4995 0.0000
V 0.4999 0.2504 0.0000
V 0.9999 0.9996 0.0000
O 0.5905 0.5402 0.1564
O 0.0905 0.2881 0.1564
O 0.5905 0.0402 0.1564
O 0.0905 0.7880 0.1564
O 0.9095 0.7098 0.8436
O 0.4095 0.4619 0.8436
O 0.9096 0.2098 0.8436
O 0.4096 0.9619 0.8436
F 0.2500 0.8750 0.5000
F 0.7500 0.6250 0.5000
F 0.2500 0.3750 0.5000
F 0.7500 0.1250 0.5000
```

Calculated values
* E above lowest polymorph: 0 meV/atom
* ΔH_f (0 K): -2713 meV/atom

Entry 2:
The following is a GGA+U calculation of an optimized crystal structure of LiV2OF5, from Materials Project. Values from VASP.

Cell and atoms, written as Quantum ESPRESSO input:
```
&SYSTEM
  ibrav = 0, nat = 27, ntyp = 4
/
ATOMIC_SPECIES
Li 6.94 Li.upf
V 50.94 V.upf
O 16.00 O.upf
F 19.00 F.upf
CELL_PARAMETERS angstrom
5.2284 0.0000 0.0000
-2.6142 4.5280 0.0000
0.0000 0.0000 13.9265
ATOMIC_POSITIONS crystal
Li 0.0000 0.3067 0.1667
Li 0.3067 0.0000 0.8333
Li 0.6933 0.6933 0.5000
V 0.0150 0.3241 0.4201
V 0.3090 0.9850 0.0868
V 0.3241 0.0150 0.5799
V 0.6759 0.6910 0.7535
V 0.6910 0.6759 0.2465
V 0.9850 0.3090 0.9132
O 0.0000 0.9369 0.1667
O 0.0631 0.0631 0.5000
O 0.9369 0.0000 0.8333
F 0.0000 0.7273 0.6667
F 0.0586 0.6634 0.9920
F 0.2727 0.2727 0.0000
F 0.3167 0.6343 0.8275
F 0.3176 0.6833 0.4942
F 0.3366 0.3952 0.3253
F 0.3657 0.6824 0.1609
F 0.3952 0.3366 0.6747
F 0.6048 0.9414 0.6586
F 0.6343 0.3167 0.1725
F 0.6634 0.0586 0.0080
F 0.6824 0.3657 0.8391
F 0.6833 0.3176 0.5058
F 0.7273 0.0000 0.3333
F 0.9414 0.6048 0.3414
```

Calculated values
* E above lowest polymorph: 31 meV/atom
* ΔH_f (0 K): -3031 meV/atom

Entry 3:
The following is a GGA+U calculation of an optimized crystal structure of Li3V4O3F9, from Materials Project. Values from VASP.

Cell and atoms, written as Quantum ESPRESSO input:
```
&SYSTEM
  ibrav = 0, nat = 38, ntyp = 4
/
ATOMIC_SPECIES
Li 6.94 Li.upf
V 50.94 V.upf
O 16.00 O.upf
F 19.00 F.upf
CELL_PARAMETERS angstrom
5.2037 0.0000 0.0000
2.5512 4.9074 0.0000
2.1124 -0.6757 17.1003
ATOMIC_POSITIONS crystal
Li 0.0000 0.0000 0.0000
Li 0.0094 0.5220 0.4993
Li 0.2402 0.4136 0.1249
Li 0.6146 0.0422 0.7333
Li 0.8423 0.9499 0.3443
Li 0.8895 0.4430 0.8394
V 0.1856 0.3566 0.2987
V 0.1889 0.8487 0.7952
V 0.4261 0.2196 0.9166
V 0.4282 0.7780 0.4194
V 0.6906 0.6178 0.0502
V 0.6943 0.1465 0.5493
V 0.9287 0.9491 0.1752
V 0.9463 0.4877 0.6700
O 0.3418 0.0840 0.8320
O 0.4241 0.0578 0.3594
O 0.8779 0.3358 0.5819
O 0.8856 0.8037 0.0782
O 0.9734 0.6624 0.2382
O 0.9856 0.6632 0.7644
F 0.3731 0.5778 0.3355
F 0.3763 0.7290 0.1376
F 0.3868 0.2643 0.6496
F 0.4076 0.9277 0.9872
F 0.4161 0.4524 0.4889
F 0.4611 0.5298 0.8614
F 0.4829 0.1895 0.1992
F 0.5050 0.7360 0.7038
F 0.5099 0.3668 0.0169
F 0.5168 0.9066 0.5152
F 0.8769 0.0022 0.8968
F 0.8797 0.5457 0.3967
F 0.9037 0.1943 0.7431
F 0.9384 0.8009 0.6012
F 0.9558 0.2702 0.1036
F 0.9670 0.1529 0.2671
F 0.9767 0.4464 0.9496
F 0.9796 0.9732 0.4479
```

Calculated values
* E above lowest polymorph: 30 meV/atom
* ΔH_f (0 K): -2946 meV/atom